# BN (PBE-GGA, relaxed)
# energy above the lowest structure with this stoichiometry = 621 meV/atom
# mass density = 1.7 Mg/m³
# electronic total energy = -8.167 eV/atom
# energy relative to the elements = -0.840 eV/atom
data_BN
_cell_length_a 10.254
_cell_length_b 10.780
_cell_length_c 11.324
_cell_angle_alpha 92.22
_cell_angle_beta 93.58
_cell_angle_gamma 91.25
_space_group_name_H-M_alt 'P 1'
_space_group_IT_number 1
loop_
_space_group_symop_operation_xyz
'x,y,z'
loop_
_atom_site_label
_atom_site_fract_x
_atom_site_fract_y
_atom_site_fract_z
B1 0.000 0.000 0.000
B2 0.002 0.054 0.216
B3 0.011 0.876 0.353
B4 0.016 0.556 0.842
B5 0.019 0.734 0.706
B6 0.020 0.483 0.400
B7 0.020 0.518 0.621
B8 0.024 0.698 0.488
B9 0.029 0.778 0.925
B10 0.047 0.836 0.141
B11 0.051 0.663 0.271
B12 0.120 0.190 0.081
B13 0.132 0.639 0.058
B14 0.273 0.203 0.907
B15 0.295 0.293 0.214
B16 0.337 0.534 0.972
B17 0.349 0.555 0.826
B18 0.393 0.585 0.143
B19 0.431 0.464 0.307
B20 0.452 0.646 0.288
B21 0.460 0.629 0.641
B22 0.486 0.618 0.432
B23 0.493 0.191 0.804
B24 0.534 0.400 0.042
B25 0.543 0.265 0.249
B26 0.572 0.020 0.214
B27 0.581 0.788 0.149
B28 0.594 0.169 0.062
B29 0.612 0.793 0.583
B30 0.624 0.999 0.462
B31 0.629 0.135 0.652
B32 0.630 0.953 0.010
B33 0.652 0.855 0.358
B34 0.665 0.827 0.818
B35 0.684 0.736 0.026
B36 0.722 0.157 0.886
B37 0.728 0.710 0.175
B38 0.731 0.307 0.951
B39 0.775 0.326 0.247
B40 0.835 0.437 0.928
B41 0.857 0.535 0.063
B42 0.875 0.135 0.846
B43 0.937 0.467 0.188
B44 0.958 0.342 0.750
B45 0.961 0.127 0.655
B46 0.979 0.272 0.310
B47 0.979 0.947 0.787
B48 0.985 0.091 0.436
B49 0.991 0.912 0.570
B50 0.997 0.305 0.531
N1 0.007 0.353 0.414
N2 0.009 0.819 0.806
N3 0.012 0.781 0.588
N4 0.012 0.921 0.235
N5 0.018 0.532 0.280
N6 0.020 0.094 0.097
N7 0.029 0.602 0.724
N8 0.030 0.566 0.504
N9 0.031 0.745 0.371
N10 0.033 0.871 0.020
N11 0.050 0.644 0.945
N12 0.089 0.711 0.161
N13 0.175 0.202 0.970
N14 0.176 0.261 0.184
N15 0.261 0.584 0.061
N16 0.285 0.330 0.509
N17 0.305 0.954 0.312
N18 0.306 0.880 0.378
N19 0.331 0.300 0.595
N20 0.380 0.207 0.844
N21 0.388 0.587 0.725
N22 0.421 0.335 0.251
N23 0.454 0.495 0.044
N24 0.469 0.701 0.181
N25 0.471 0.488 0.425
N26 0.523 0.680 0.552
N27 0.546 0.146 0.175
N28 0.576 0.923 0.120
N29 0.606 0.980 0.332
N30 0.616 0.305 0.026
N31 0.618 0.175 0.769
N32 0.626 0.100 0.542
N33 0.643 0.819 0.705
N34 0.648 0.081 0.980
N35 0.648 0.582 0.856
N36 0.649 0.864 0.487
N37 0.662 0.323 0.290
N38 0.673 0.836 0.942
N39 0.696 0.766 0.274
N40 0.731 0.515 0.871
N41 0.778 0.644 0.075
N42 0.901 0.337 0.212
N43 0.928 0.210 0.753
N44 0.953 0.030 0.884
N45 0.953 0.433 0.851
N46 0.970 0.994 0.670
N47 0.982 0.174 0.540
N48 0.983 0.138 0.317
N49 0.992 0.959 0.452
N50 0.999 0.387 0.636